Entry 1:
Here is an optimized crystal structure of Na10Hf4Ti4Si9S3O48 from Materials Project. Energies are from PBE-GGA.

Cell: 9.007 15.559 22.604 Å, 90.26 90.09 90.04°
Sites, in units of the cell vectors:
1 Na 0.000 0.000 0.000
2 Na 0.000 0.335 0.666
3 Na 0.005 0.298 0.329
4 Na 0.013 0.967 0.663
5 Na 0.133 0.799 0.829
6 Na 0.137 0.134 0.495
7 Na 0.139 0.466 0.166
8 Na 0.142 0.836 0.166
9 Na 0.187 0.154 0.166
10 Na 0.310 0.645 0.918
11 Na 0.320 0.643 0.416
12 Na 0.322 0.312 0.750
13 Na 0.323 0.974 0.580
14 Na 0.326 0.316 0.251
15 Na 0.331 0.979 0.082
16 Na 0.501 0.499 0.999
17 Na 0.504 0.470 0.666
18 Na 0.507 0.800 0.330
19 Na 0.630 0.634 0.495
20 Na 0.634 0.303 0.831
21 Na 0.636 0.969 0.166
22 Na 0.641 0.335 0.166
23 Na 0.682 0.651 0.168
24 Na 0.812 0.147 0.919
25 Na 0.816 0.143 0.412
26 Na 0.816 0.812 0.751
27 Na 0.823 0.475 0.581
28 Na 0.823 0.817 0.250
29 Na 0.831 0.478 0.080
30 Na 0.963 0.652 0.670
31 Hf 0.314 0.990 0.731
32 Hf 0.320 0.644 0.769
33 Hf 0.324 0.322 0.602
34 Hf 0.324 0.643 0.270
35 Hf 0.325 0.650 0.564
36 Hf 0.327 0.990 0.937
37 Hf 0.812 0.824 0.394
38 Hf 0.819 0.822 0.599
39 Hf 0.821 0.824 0.102
40 Hf 0.823 0.153 0.772
41 Hf 0.831 0.158 0.560
42 Hf 0.833 0.821 0.897
43 Ti 0.303 0.326 0.394
44 Ti 0.304 0.652 0.066
45 Ti 0.323 0.327 0.101
46 Ti 0.324 0.987 0.435
47 Ti 0.330 0.995 0.228
48 Ti 0.344 0.325 0.897
49 Ti 0.804 0.154 0.065
50 Ti 0.809 0.492 0.728
51 Ti 0.817 0.482 0.434
52 Ti 0.826 0.144 0.267
53 Ti 0.830 0.486 0.935
54 Ti 0.831 0.490 0.228
55 Si 0.027 0.987 0.834
56 Si 0.028 0.324 0.497
57 Si 0.031 0.652 0.168
58 Si 0.105 0.488 0.334
59 Si 0.115 0.152 0.665
60 Si 0.123 0.815 0.000
61 Si 0.168 0.505 0.665
62 Si 0.174 0.463 0.998
63 Si 0.178 0.130 0.334
64 Si 0.179 0.799 0.667
65 Si 0.461 0.796 0.167
66 Si 0.465 0.136 0.834
67 Si 0.470 0.463 0.496
68 Si 0.470 0.506 0.162
69 Si 0.521 0.821 0.497
70 Si 0.535 0.155 0.168
71 Si 0.538 0.489 0.835
72 Si 0.607 0.991 0.331
73 Si 0.613 0.655 0.667
74 Si 0.617 0.318 0.000
75 Si 0.674 0.969 0.001
76 Si 0.675 0.299 0.668
77 Si 0.682 0.628 0.333
78 Si 0.963 0.628 0.833
79 Si 0.965 0.294 0.167
80 Si 0.970 0.010 0.164
81 Si 0.974 0.966 0.499
82 S 0.176 0.178 0.999
83 S 0.177 0.843 0.332
84 S 0.466 0.173 0.497
85 S 0.468 0.840 0.833
86 S 0.674 0.341 0.332
87 S 0.674 0.671 0.999
88 S 0.675 0.008 0.665
89 S 0.968 0.672 0.497
90 S 0.971 0.343 0.833
91 O 0.003 0.469 0.274
92 O 0.004 0.166 0.721
93 O 0.011 0.133 0.607
94 O 0.013 0.165 0.004
95 O 0.014 0.832 0.058
96 O 0.015 0.830 0.339
97 O 0.019 0.800 0.941
98 O 0.128 0.333 0.557
99 O 0.128 0.662 0.503
100 O 0.130 0.331 0.841
101 O 0.130 0.996 0.893
102 O 0.131 0.967 0.776
103 O 0.137 0.631 0.110
104 O 0.137 0.673 0.223
105 O 0.138 0.304 0.440
106 O 0.143 0.644 0.831
107 O 0.145 0.305 0.158
108 O 0.149 0.997 0.174
109 O 0.154 0.982 0.491
110 O 0.191 0.568 0.609
111 O 0.199 0.739 0.727
112 O 0.203 0.892 0.277
113 O 0.206 0.398 0.340
114 O 0.208 0.404 0.059
115 O 0.209 0.572 0.331
116 O 0.211 0.228 0.947
117 O 0.212 0.070 0.392
118 O 0.214 0.238 0.659
119 O 0.215 0.065 0.670
120 O 0.215 0.905 0.995
121 O 0.226 0.729 0.007
122 O 0.240 0.215 0.055
123 O 0.242 0.088 0.996
124 O 0.244 0.885 0.385
125 O 0.246 0.410 0.660
126 O 0.247 0.750 0.609
127 O 0.250 0.081 0.275
128 O 0.252 0.757 0.329
129 O 0.253 0.894 0.671
130 O 0.254 0.227 0.340
131 O 0.255 0.547 0.722
132 O 0.256 0.410 0.944
133 O 0.262 0.555 0.006
134 O 0.380 0.746 0.111
135 O 0.383 0.546 0.220
136 O 0.386 0.892 0.173
137 O 0.387 0.231 0.842
138 O 0.393 0.410 0.157
139 O 0.393 0.756 0.828
140 O 0.394 0.087 0.492
141 O 0.395 0.407 0.441
142 O 0.395 0.558 0.500
143 O 0.397 0.088 0.775
144 O 0.398 0.212 0.551
145 O 0.400 0.882 0.885
146 O 0.420 0.907 0.488
147 O 0.424 0.733 0.503
148 O 0.425 0.237 0.158
149 O 0.430 0.067 0.174
150 O 0.433 0.572 0.832
151 O 0.436 0.400 0.841
152 O 0.437 0.073 0.890
153 O 0.439 0.226 0.444
154 O 0.442 0.738 0.227
155 O 0.442 0.892 0.779
156 O 0.446 0.568 0.105
157 O 0.447 0.407 0.557
158 O 0.493 0.997 0.388
159 O 0.496 0.979 0.996
160 O 0.497 0.314 0.662
161 O 0.500 0.333 0.057
162 O 0.500 0.972 0.273
163 O 0.501 0.644 0.329
164 O 0.508 0.669 0.724
165 O 0.510 0.305 0.941
166 O 0.512 0.331 0.339
167 O 0.512 0.660 0.003
168 O 0.514 0.994 0.672
169 O 0.518 0.631 0.607
170 O 0.628 0.161 0.505
171 O 0.629 0.801 0.440
172 O 0.629 0.829 0.840
173 O 0.632 0.834 0.554
174 O 0.639 0.132 0.110
175 O 0.640 0.468 0.776
176 O 0.642 0.805 0.159
177 O 0.645 0.152 0.829
178 O 0.647 0.171 0.223
179 O 0.648 0.493 0.893
180 O 0.649 0.494 0.172
181 O 0.650 0.478 0.488
182 O 0.701 0.392 0.278
183 O 0.702 0.059 0.612
184 O 0.703 0.911 0.060
185 O 0.705 0.242 0.727
186 O 0.706 0.902 0.336
187 O 0.707 0.725 0.947
188 O 0.711 0.408 0.993
189 O 0.712 0.076 0.325
190 O 0.716 0.567 0.674
191 O 0.716 0.570 0.392
192 O 0.718 0.232 0.008
193 O 0.732 0.734 0.660
194 O 0.738 0.711 0.053
195 O 0.743 0.384 0.385
196 O 0.744 0.047 0.719
197 O 0.744 0.584 0.994
198 O 0.748 0.577 0.274
199 O 0.750 0.256 0.328
200 O 0.750 0.922 0.661
201 O 0.753 0.919 0.945
202 O 0.755 0.252 0.612
203 O 0.755 0.394 0.675
204 O 0.759 0.724 0.336
205 O 0.766 0.061 0.007
206 O 0.880 0.247 0.111
207 O 0.884 0.723 0.838
208 O 0.885 0.054 0.221
209 O 0.889 0.390 0.174
210 O 0.892 0.587 0.494
211 O 0.893 0.913 0.162
212 O 0.894 0.256 0.829
213 O 0.895 0.061 0.503
214 O 0.896 0.579 0.774
215 O 0.897 0.383 0.885
216 O 0.901 0.915 0.443
217 O 0.902 0.712 0.552
218 O 0.919 0.733 0.159
219 O 0.921 0.407 0.489
220 O 0.922 0.070 0.828
221 O 0.924 0.565 0.889
222 O 0.927 0.897 0.837
223 O 0.930 0.234 0.500
224 O 0.930 0.564 0.173
225 O 0.935 0.726 0.446
226 O 0.940 0.234 0.226
227 O 0.942 0.392 0.778
228 O 0.944 0.069 0.106
229 O 0.946 0.910 0.559
230 O 0.990 0.493 0.389
231 O 0.990 0.493 0.675
232 O 0.995 0.472 0.990
233 O 0.996 0.811 0.661
234 O 0.997 0.145 0.326

Properties
Energy of formation from the pure elements: -2.99 eV/atom
E_tot: -583.85 eV per formula unit
Energy with MP2020 corrections: -1850.49 eV per cell
Crystal system: triclinic
Mass density: 3.54 g/cm³

***

Entry 2:
Here is an optimized crystal structure of Na3YHf3Si3S3O24 from Materials Project. Energies are from PBE-GGA.

Cell: 9.029 9.041 23.430 Å, 89.61 89.85 60.53°
Sites, in units of the cell vectors:
1 Na 0.000 0.000 0.000
2 Na 0.007 0.005 0.504
3 Na 0.341 0.360 0.664
4 Na 0.365 0.334 0.168
5 Na 0.643 0.031 0.250
6 Na 0.676 0.700 0.336
7 Na 0.697 0.670 0.835
8 Na 0.712 0.345 0.424
9 Na 0.977 0.362 0.911
10 Y 0.359 0.341 0.311
11 Y 0.693 0.692 0.980
12 Y 0.699 0.693 0.487
13 Hf 0.009 0.020 0.854
14 Hf 0.011 0.030 0.149
15 Hf 0.015 0.028 0.647
16 Hf 0.018 0.025 0.351
17 Hf 0.346 0.364 0.813
18 Hf 0.369 0.348 0.523
19 Hf 0.372 0.348 0.019
20 Hf 0.673 0.693 0.187
21 Hf 0.711 0.657 0.684
22 Si 0.027 0.304 0.752
23 Si 0.074 0.640 0.917
24 Si 0.310 0.012 0.248
25 Si 0.646 0.348 0.914
26 Si 0.654 0.051 0.415
27 Si 0.687 0.984 0.085
28 Si 0.690 0.387 0.582
29 Si 0.734 0.315 0.250
30 Si 0.995 0.680 0.585
31 S 0.016 0.735 0.248
32 S 0.063 0.345 0.417
33 S 0.312 0.731 0.750
34 S 0.348 0.646 0.418
35 S 0.349 0.069 0.915
36 S 0.390 0.684 0.085
37 S 0.393 0.978 0.587
38 S 0.729 0.016 0.750
39 S 0.985 0.389 0.084
40 O 0.004 0.212 0.810
41 O 0.008 0.215 0.092
42 O 0.026 0.840 0.600
43 O 0.037 0.816 0.197
44 O 0.046 0.184 0.698
45 O 0.052 0.183 0.412
46 O 0.059 0.826 0.908
47 O 0.136 0.372 0.365
48 O 0.156 0.372 0.079
49 O 0.164 0.328 0.468
50 O 0.164 0.566 0.254
51 O 0.165 0.518 0.862
52 O 0.176 0.505 0.576
53 O 0.187 0.541 0.974
54 O 0.190 0.057 0.909
55 O 0.194 0.817 0.413
56 O 0.198 0.325 0.757
57 O 0.201 0.020 0.193
58 O 0.207 0.807 0.699
59 O 0.220 0.000 0.595
60 O 0.220 0.832 0.093
61 O 0.220 0.986 0.306
62 O 0.227 0.832 0.802
63 O 0.324 0.171 0.967
64 O 0.326 0.560 0.469
65 O 0.333 0.556 0.756
66 O 0.337 0.177 0.248
67 O 0.368 0.545 0.366
68 O 0.371 0.151 0.864
69 O 0.374 0.151 0.579
70 O 0.375 0.527 0.080
71 O 0.460 0.879 0.534
72 O 0.465 0.710 0.033
73 O 0.482 0.716 0.745
74 O 0.496 0.898 0.919
75 O 0.502 0.658 0.135
76 O 0.502 0.896 0.637
77 O 0.504 0.659 0.423
78 O 0.506 0.845 0.243
79 O 0.513 0.172 0.079
80 O 0.520 0.364 0.580
81 O 0.533 0.357 0.859
82 O 0.548 0.330 0.251
83 O 0.550 0.183 0.469
84 O 0.554 0.139 0.356
85 O 0.559 0.319 0.972
86 O 0.562 0.170 0.756
87 O 0.662 0.513 0.636
88 O 0.668 0.884 0.142
89 O 0.675 0.863 0.418
90 O 0.676 0.510 0.918
91 O 0.708 0.865 0.744
92 O 0.714 0.872 0.029
93 O 0.717 0.455 0.521
94 O 0.727 0.497 0.240
95 O 0.815 0.038 0.699
96 O 0.830 0.185 0.197
97 O 0.837 0.989 0.802
98 O 0.839 0.177 0.909
99 O 0.843 0.045 0.412
100 O 0.846 0.221 0.308
101 O 0.854 0.493 0.745
102 O 0.855 0.199 0.594
103 O 0.857 0.723 0.243
104 O 0.858 0.003 0.092
105 O 0.880 0.729 0.529
106 O 0.885 0.486 0.421
107 O 0.886 0.455 0.031
108 O 0.888 0.651 0.918
109 O 0.891 0.656 0.640
110 O 0.895 0.497 0.134
111 O 0.989 0.840 0.300

Properties
Energy of formation from the pure elements: -2.93 eV/atom
E_tot: -279.59 eV per formula unit
Energy with MP2020 corrections: -888.24 eV per cell
Crystal system: triclinic
Mass density: 3.76 g/cm³